Record 1
Compound: Sb2H24C6N3Cl9
Source: the Materials Project database
Functional: PBE-GGA
Structure: relaxed

Cell: 9.354 9.711 14.696 Å, 84.05 90.00 90.00°
Sites, in units of the cell vectors:
Sb (0.197, 0.999, 0.503)
Sb (0.803, 0.999, 0.003)
Sb (0.700, 0.326, 0.339)
Sb (0.300, 0.326, 0.839)
H (0.264, 0.722, 0.775)
H (0.736, 0.722, 0.275)
H (0.286, 0.891, 0.740)
H (0.714, 0.891, 0.240)
H (0.113, 0.647, 0.438)
H (0.887, 0.647, 0.938)
H (0.034, 0.499, 0.422)
H (0.966, 0.499, 0.922)
H (0.143, 0.039, 0.204)
H (0.857, 0.039, 0.704)
H (0.119, 0.130, 0.100)
H (0.881, 0.130, 0.600)
H (0.512, 0.776, 0.735)
H (0.488, 0.776, 0.235)
H (0.490, 0.713, 0.854)
H (0.510, 0.713, 0.354)
H (0.511, 0.895, 0.822)
H (0.489, 0.895, 0.322)
H (0.126, 0.861, 0.867)
H (0.874, 0.861, 0.367)
H (0.287, 0.950, 0.894)
H (0.713, 0.950, 0.394)
H (0.265, 0.770, 0.933)
H (0.735, 0.770, 0.433)
H (0.219, 0.552, 0.581)
H (0.781, 0.552, 0.081)
H (0.135, 0.389, 0.565)
H (0.865, 0.389, 0.065)
H (0.028, 0.537, 0.584)
H (0.972, 0.537, 0.084)
H (0.263, 0.383, 0.418)
H (0.737, 0.383, 0.918)
H (0.243, 0.528, 0.332)
H (0.757, 0.528, 0.832)
H (0.346, 0.545, 0.434)
H (0.654, 0.545, 0.934)
H (0.055, 0.267, 0.221)
H (0.945, 0.267, 0.721)
H (0.208, 0.336, 0.157)
H (0.792, 0.336, 0.657)
H (0.233, 0.242, 0.267)
H (0.767, 0.242, 0.767)
H (0.367, 0.174, 0.083)
H (0.633, 0.174, 0.583)
H (0.399, 0.091, 0.195)
H (0.601, 0.091, 0.695)
H (0.336, 0.992, 0.106)
H (0.664, 0.992, 0.606)
C (0.468, 0.798, 0.801)
C (0.532, 0.798, 0.301)
C (0.242, 0.851, 0.878)
C (0.758, 0.851, 0.378)
C (0.126, 0.501, 0.553)
C (0.874, 0.501, 0.053)
C (0.253, 0.496, 0.406)
C (0.747, 0.496, 0.906)
C (0.168, 0.251, 0.204)
C (0.832, 0.251, 0.704)
C (0.332, 0.092, 0.134)
C (0.668, 0.092, 0.634)
N (0.310, 0.813, 0.792)
N (0.690, 0.813, 0.292)
N (0.122, 0.541, 0.452)
N (0.878, 0.541, 0.952)
N (0.182, 0.121, 0.160)
N (0.818, 0.121, 0.660)
Cl (0.008, 0.849, 0.571)
Cl (0.992, 0.849, 0.071)
Cl (0.158, 0.878, 0.350)
Cl (0.842, 0.878, 0.850)
Cl (0.381, 0.819, 0.551)
Cl (0.619, 0.819, 0.051)
Cl (0.491, 0.159, 0.390)
Cl (0.509, 0.159, 0.890)
Cl (0.228, 0.094, 0.666)
Cl (0.772, 0.094, 0.166)
Cl (0.965, 0.197, 0.467)
Cl (0.035, 0.197, 0.967)
Cl (0.891, 0.525, 0.291)
Cl (0.109, 0.525, 0.791)
Cl (0.647, 0.455, 0.468)
Cl (0.353, 0.455, 0.968)
Cl (0.537, 0.453, 0.232)
Cl (0.463, 0.453, 0.732)

Properties
ρ: 1.75 Mg/m³
SG: Pc, No. 7
energy of formation from the pure elements: -569.3 meV per atom

Record 2
Compound: SbH16C4N2Cl5
Source: the Materials Project database
Functional: PBE-GGA
Structure: relaxed

Cell: 8.747 12.145 14.971 Å, 90.00 90.00 90.00°
Sites, in units of the cell vectors:
Sb (0.304, 0.750, 0.904)
Sb (0.804, 0.750, 0.596)
Sb (0.196, 0.250, 0.404)
Sb (0.696, 0.250, 0.096)
H (0.457, 0.589, 0.184)
H (0.126, 0.119, 0.068)
H (0.366, 0.407, 0.145)
H (0.101, 0.415, 0.183)
H (0.657, 0.504, 0.939)
H (0.657, 0.996, 0.939)
H (0.268, 0.640, 0.164)
H (0.074, 0.519, 0.098)
H (0.768, 0.640, 0.336)
H (0.543, 0.089, 0.816)
H (0.574, 0.981, 0.402)
H (0.199, 0.045, 0.754)
H (0.232, 0.360, 0.664)
H (0.699, 0.045, 0.746)
H (0.866, 0.407, 0.355)
H (0.843, 0.004, 0.439)
H (0.157, 0.504, 0.561)
H (0.874, 0.881, 0.932)
H (0.634, 0.907, 0.855)
H (0.732, 0.360, 0.836)
H (0.626, 0.119, 0.432)
H (0.843, 0.496, 0.439)
H (0.574, 0.519, 0.402)
H (0.043, 0.411, 0.684)
H (0.457, 0.911, 0.184)
H (0.268, 0.860, 0.164)
H (0.232, 0.140, 0.664)
H (0.601, 0.415, 0.317)
H (0.866, 0.093, 0.355)
H (0.543, 0.411, 0.816)
H (0.899, 0.585, 0.817)
H (0.399, 0.585, 0.683)
H (0.301, 0.545, 0.254)
H (0.157, 0.996, 0.561)
H (0.343, 0.004, 0.061)
H (0.366, 0.093, 0.145)
H (0.801, 0.955, 0.246)
H (0.634, 0.593, 0.855)
H (0.134, 0.593, 0.645)
H (0.768, 0.860, 0.336)
H (0.957, 0.911, 0.316)
H (0.199, 0.455, 0.754)
H (0.043, 0.089, 0.684)
H (0.699, 0.455, 0.746)
H (0.426, 0.019, 0.598)
H (0.343, 0.496, 0.061)
H (0.732, 0.140, 0.836)
H (0.134, 0.907, 0.645)
H (0.926, 0.481, 0.902)
H (0.426, 0.481, 0.598)
H (0.301, 0.955, 0.254)
H (0.801, 0.545, 0.246)
H (0.374, 0.619, 0.568)
H (0.957, 0.589, 0.316)
H (0.101, 0.085, 0.183)
H (0.074, 0.981, 0.098)
H (0.926, 0.019, 0.902)
H (0.399, 0.915, 0.683)
H (0.126, 0.381, 0.068)
H (0.874, 0.619, 0.932)
H (0.601, 0.085, 0.317)
H (0.626, 0.381, 0.432)
H (0.374, 0.881, 0.568)
H (0.899, 0.915, 0.817)
C (0.639, 0.446, 0.382)
C (0.139, 0.054, 0.118)
C (0.861, 0.554, 0.882)
C (0.665, 0.069, 0.813)
C (0.361, 0.554, 0.618)
C (0.335, 0.569, 0.187)
C (0.165, 0.431, 0.687)
C (0.835, 0.569, 0.313)
C (0.361, 0.946, 0.618)
C (0.639, 0.054, 0.382)
C (0.835, 0.931, 0.313)
C (0.165, 0.069, 0.687)
C (0.861, 0.946, 0.882)
C (0.335, 0.931, 0.187)
C (0.139, 0.446, 0.118)
C (0.665, 0.431, 0.813)
N (0.196, 0.524, 0.624)
N (0.804, 0.024, 0.376)
N (0.304, 0.024, 0.124)
N (0.696, 0.976, 0.876)
N (0.804, 0.476, 0.376)
N (0.304, 0.476, 0.124)
N (0.696, 0.524, 0.876)
N (0.196, 0.976, 0.624)
Cl (0.438, 0.250, 0.217)
Cl (0.691, 0.032, 0.089)
Cl (0.062, 0.750, 0.717)
Cl (0.601, 0.750, 0.475)
Cl (0.562, 0.750, 0.783)
Cl (0.691, 0.468, 0.089)
Cl (0.507, 0.750, 0.015)
Cl (0.007, 0.750, 0.485)
Cl (0.938, 0.250, 0.283)
Cl (0.309, 0.968, 0.911)
Cl (0.191, 0.468, 0.411)
Cl (0.101, 0.750, 0.025)
Cl (0.191, 0.032, 0.411)
Cl (0.993, 0.250, 0.515)
Cl (0.309, 0.532, 0.911)
Cl (0.809, 0.532, 0.589)
Cl (0.493, 0.250, 0.985)
Cl (0.809, 0.968, 0.589)
Cl (0.399, 0.250, 0.525)
Cl (0.899, 0.250, 0.975)

Properties
ρ: 1.63 Mg/m³
SG: Pnma, No. 62
energy of formation from the pure elements: -533.1 meV per atom

Record 3
Compound: SiH9C3N2Cl3
Source: the Materials Project database
Functional: PBE-GGA
Structure: relaxed

Cell: 11.740 7.617 10.924 Å, 74.67 90.00 90.00°
Sites, in units of the cell vectors:
Si (0.305, 0.722, 0.255)
Si (0.805, 0.278, 0.245)
Si (0.695, 0.278, 0.745)
Si (0.195, 0.722, 0.755)
H (0.420, 0.848, 0.458)
H (0.920, 0.152, 0.042)
H (0.580, 0.152, 0.542)
H (0.080, 0.848, 0.958)
H (0.320, 0.022, 0.457)
H (0.820, 0.978, 0.043)
H (0.680, 0.978, 0.543)
H (0.180, 0.022, 0.957)
H (0.447, 0.073, 0.364)
H (0.947, 0.927, 0.136)
H (0.553, 0.927, 0.636)
H (0.053, 0.073, 0.864)
H (0.109, 0.034, 0.296)
H (0.609, 0.966, 0.204)
H (0.891, 0.966, 0.704)
H (0.391, 0.034, 0.796)
H (0.196, 0.222, 0.309)
H (0.696, 0.778, 0.191)
H (0.804, 0.778, 0.691)
H (0.304, 0.222, 0.809)
H (0.125, 0.230, 0.164)
H (0.625, 0.770, 0.336)
H (0.875, 0.770, 0.836)
H (0.375, 0.230, 0.664)
H (0.383, 0.277, 0.178)
H (0.883, 0.723, 0.322)
H (0.617, 0.723, 0.822)
H (0.117, 0.277, 0.678)
H (0.413, 0.125, 0.082)
H (0.913, 0.875, 0.418)
H (0.587, 0.875, 0.918)
H (0.087, 0.125, 0.582)
H (0.298, 0.284, 0.043)
H (0.798, 0.716, 0.457)
H (0.702, 0.716, 0.957)
H (0.202, 0.284, 0.543)
C (0.380, 0.971, 0.398)
C (0.880, 0.029, 0.102)
C (0.620, 0.029, 0.602)
C (0.120, 0.971, 0.898)
C (0.169, 0.139, 0.245)
C (0.669, 0.861, 0.255)
C (0.831, 0.861, 0.755)
C (0.331, 0.139, 0.745)
C (0.345, 0.193, 0.121)
C (0.845, 0.807, 0.379)
C (0.655, 0.807, 0.879)
C (0.155, 0.193, 0.621)
N (0.323, 0.921, 0.293)
N (0.823, 0.079, 0.207)
N (0.677, 0.079, 0.707)
N (0.177, 0.921, 0.793)
N (0.266, 0.056, 0.196)
N (0.766, 0.944, 0.304)
N (0.734, 0.944, 0.804)
N (0.234, 0.056, 0.696)
Cl (0.375, 0.720, 0.082)
Cl (0.875, 0.280, 0.418)
Cl (0.625, 0.280, 0.918)
Cl (0.125, 0.720, 0.582)
Cl (0.137, 0.646, 0.247)
Cl (0.637, 0.354, 0.253)
Cl (0.863, 0.354, 0.753)
Cl (0.363, 0.646, 0.747)
Cl (0.384, 0.518, 0.390)
Cl (0.884, 0.482, 0.110)
Cl (0.616, 0.482, 0.610)
Cl (0.116, 0.518, 0.890)

Properties
ρ: 1.46 Mg/m³
SG: P2_1/c, No. 14
energy of formation from the pure elements: -441.8 meV per atom